a) The following is a PBE with a Hubbard U calculation of a relaxed Ca8Ti3Mn5O21 crystal, from the Materials Project.

Unit cell a=7.807 b=7.823 c=7.880 alpha=90.00 beta=90.17 gamma=90.00
Positions (direct):
1 Ca 0.229 0.266 0.263
2 Ca 0.248 0.291 0.715
3 Ca 0.229 0.734 0.263
4 Ca 0.248 0.709 0.715
5 Ca 0.763 0.249 0.283
6 Ca 0.697 0.284 0.754
7 Ca 0.763 0.751 0.283
8 Ca 0.697 0.716 0.754
9 Ti 0.044 0.000 0.992
10 Ti 0.016 0.000 0.527
11 Ti 0.494 0.000 0.994
12 Mn 0.986 0.500 0.016
13 Mn 0.991 0.500 0.508
14 Mn 0.512 0.000 0.469
15 Mn 0.478 0.500 0.995
16 Mn 0.495 0.500 0.484
17 O 0.084 0.000 0.759
18 O 0.940 0.500 0.257
19 O 0.047 0.500 0.772
20 O 0.625 0.000 0.177
21 O 0.587 0.000 0.769
22 O 0.454 0.500 0.738
23 O 0.260 0.000 0.077
24 O 0.227 0.000 0.420
25 O 0.243 0.500 0.076
26 O 0.246 0.500 0.461
27 O 0.792 0.000 0.457
28 O 0.732 0.500 0.963
29 O 0.739 0.500 0.539
30 O 0.961 0.200 0.066
31 O 0.008 0.251 0.511
32 O 0.961 0.800 0.066
33 O 0.008 0.749 0.511
34 O 0.477 0.252 0.980
35 O 0.496 0.257 0.452
36 O 0.477 0.748 0.980
37 O 0.496 0.743 0.452


b) The following is a PBE with a Hubbard U calculation of a relaxed Ca8Ti3Mn5O21 crystal, from the Materials Project.

Unit cell a=11.150 b=15.464 c=11.122 alpha=90.04 beta=91.34 gamma=90.44
Positions (direct):
1 Ca 0.975 0.123 0.532
2 Ca 0.979 0.119 0.024
3 Ca 0.997 0.620 0.526
4 Ca 0.995 0.618 0.001
5 Ca 0.540 0.120 0.482
6 Ca 0.541 0.124 0.986
7 Ca 0.534 0.627 0.513
8 Ca 0.545 0.622 0.972
9 Ca 0.509 0.389 0.988
10 Ca 0.487 0.376 0.523
11 Ca 0.536 0.858 0.975
12 Ca 0.489 0.864 0.500
13 Ca 0.964 0.387 0.008
14 Ca 0.956 0.386 0.510
15 Ca 0.957 0.878 0.997
16 Ca 0.965 0.868 0.515
17 Ca 0.244 0.391 0.225
18 Ca 0.233 0.403 0.760
19 Ca 0.241 0.881 0.275
20 Ca 0.230 0.863 0.720
21 Ca 0.746 0.375 0.252
22 Ca 0.725 0.389 0.762
23 Ca 0.742 0.862 0.242
24 Ca 0.718 0.865 0.737
25 Ca 0.223 0.121 0.217
26 Ca 0.229 0.115 0.733
27 Ca 0.245 0.618 0.274
28 Ca 0.263 0.625 0.719
29 Ca 0.766 0.121 0.252
30 Ca 0.765 0.127 0.754
31 Ca 0.769 0.613 0.256
32 Ca 0.771 0.625 0.752
33 Ti 0.989 0.995 0.266
34 Ti 0.983 0.994 0.757
35 Ti 0.002 0.499 0.259
36 Ti 0.241 0.973 0.019
37 Ti 0.233 0.003 0.507
38 Ti 0.253 0.522 0.007
39 Ti 0.264 0.245 0.939
40 Ti 0.256 0.239 0.440
41 Ti 0.265 0.743 0.979
42 Ti 0.988 0.252 0.272
43 Ti 0.994 0.258 0.777
44 Ti 0.999 0.747 0.272
45 Mn 0.994 0.499 0.758
46 Mn 0.501 0.989 0.223
47 Mn 0.499 0.000 0.722
48 Mn 0.505 0.490 0.248
49 Mn 0.493 0.502 0.750
50 Mn 0.232 0.489 0.507
51 Mn 0.742 0.001 0.989
52 Mn 0.743 0.996 0.487
53 Mn 0.751 0.502 0.005
54 Mn 0.739 0.498 0.507
55 Mn 0.245 0.744 0.491
56 Mn 0.745 0.251 0.008
57 Mn 0.743 0.250 0.504
58 Mn 0.760 0.748 0.998
59 Mn 0.750 0.748 0.501
60 Mn 0.001 0.752 0.753
61 Mn 0.504 0.257 0.260
62 Mn 0.508 0.247 0.757
63 Mn 0.514 0.751 0.262
64 Mn 0.498 0.747 0.743
65 O 0.098 0.769 0.605
66 O 0.561 0.259 0.094
67 O 0.567 0.248 0.591
68 O 0.607 0.765 0.119
69 O 0.606 0.763 0.596
70 O 0.384 0.185 0.366
71 O 0.388 0.184 0.867
72 O 0.408 0.695 0.368
73 O 0.412 0.733 0.924
74 O 0.924 0.240 0.416
75 O 0.923 0.239 0.917
76 O 0.911 0.729 0.402
77 O 0.916 0.739 0.902
78 O 0.168 0.253 0.297
79 O 0.176 0.255 0.794
80 O 0.166 0.749 0.313
81 O 0.176 0.742 0.846
82 O 0.658 0.228 0.349
83 O 0.661 0.233 0.854
84 O 0.663 0.723 0.349
85 O 0.643 0.732 0.849
86 O 0.355 0.758 0.640
87 O 0.858 0.264 0.159
88 O 0.875 0.266 0.657
89 O 0.891 0.777 0.147
90 O 0.849 0.774 0.644
91 O 0.358 0.512 0.163
92 O 0.348 0.489 0.640
93 O 0.354 0.029 0.117
94 O 0.365 0.043 0.603
95 O 0.866 0.482 0.152
96 O 0.846 0.477 0.643
97 O 0.863 0.978 0.161
98 O 0.859 0.978 0.655
99 O 0.176 0.018 0.350
100 O 0.236 0.995 0.860
101 O 0.160 0.493 0.346
102 O 0.162 0.527 0.866
103 O 0.629 0.030 0.337
104 O 0.625 0.040 0.835
105 O 0.630 0.522 0.361
106 O 0.641 0.516 0.856
107 O 0.395 0.516 0.913
108 O 0.900 0.017 0.402
109 O 0.898 0.014 0.900
110 O 0.908 0.517 0.391
111 O 0.895 0.511 0.899
112 O 0.119 0.476 0.098
113 O 0.093 0.473 0.618
114 O 0.101 0.990 0.098
115 O 0.110 0.988 0.613
116 O 0.607 0.495 0.112
117 O 0.594 0.485 0.613
118 O 0.595 0.984 0.075
119 O 0.601 0.980 0.577
120 O 0.005 0.373 0.276
121 O 0.018 0.376 0.803
122 O 0.021 0.879 0.302
123 O 0.029 0.882 0.797
124 O 0.449 0.379 0.312
125 O 0.488 0.377 0.777
126 O 0.455 0.870 0.286
127 O 0.493 0.873 0.771
128 O 0.479 0.624 0.721
129 O 0.003 0.127 0.232
130 O 0.013 0.122 0.743
131 O 0.012 0.625 0.220
132 O 0.987 0.624 0.727
133 O 0.177 0.177 0.033
134 O 0.182 0.159 0.533
135 O 0.224 0.642 0.058
136 O 0.217 0.614 0.508
137 O 0.753 0.124 0.041
138 O 0.754 0.125 0.540
139 O 0.761 0.625 0.039
140 O 0.750 0.625 0.542
141 O 0.272 0.347 0.507
142 O 0.293 0.354 0.998
143 O 0.279 0.890 0.487
144 O 0.263 0.854 0.054
145 O 0.749 0.374 0.462
146 O 0.746 0.375 0.977
147 O 0.758 0.871 0.450
148 O 0.748 0.877 0.956


We find b) to be the most stable, with the next structure 29 meV/atom higher.


a) The following is a PBE with a Hubbard U calculation of a relaxed Al2NiO4 crystal, from the Materials Project.

Unit cell a=5.756 b=5.783 c=5.754 alpha=60.40 beta=60.60 gamma=60.04
Positions (direct):
1 Al 0.500 0.002 0.500
2 Al 0.999 0.500 0.501
3 Al 0.500 0.499 0.500
4 Al 0.501 0.500 0.999
5 Ni 0.130 0.119 0.125
6 Ni 0.879 0.871 0.880
7 O 0.295 0.740 0.729
8 O 0.709 0.264 0.263
9 O 0.737 0.291 0.736
10 O 0.262 0.702 0.266
11 O 0.735 0.738 0.738
12 O 0.729 0.737 0.296
13 O 0.263 0.268 0.707
14 O 0.262 0.270 0.260


b) The following is a PBE with a Hubbard U calculation of a relaxed Al2NiO4 crystal, from the Materials Project.

Unit cell a=5.674 b=5.789 c=8.117 alpha=90.00 beta=90.00 gamma=90.00
Positions (direct):
1 Al 0.000 0.250 0.133
2 Al 0.500 0.750 0.633
3 Al 0.000 0.750 0.867
4 Al 0.500 0.250 0.367
5 Al 0.000 0.500 0.500
6 Al 0.500 0.000 0.000
7 Al 0.000 0.000 0.500
8 Al 0.500 0.500 0.000
9 Ni 0.250 0.250 0.750
10 Ni 0.750 0.250 0.750
11 Ni 0.750 0.750 0.250
12 Ni 0.250 0.750 0.250
13 O 0.000 0.498 0.266
14 O 0.500 0.998 0.766
15 O 0.000 0.002 0.266
16 O 0.500 0.502 0.766
17 O 0.000 0.998 0.734
18 O 0.500 0.498 0.234
19 O 0.000 0.502 0.734
20 O 0.500 0.002 0.234
21 O 0.235 0.750 0.504
22 O 0.735 0.250 0.004
23 O 0.765 0.750 0.504
24 O 0.265 0.250 0.004
25 O 0.235 0.250 0.496
26 O 0.735 0.750 0.996
27 O 0.765 0.250 0.496
28 O 0.265 0.750 0.996


We find b) to be the most stable, with the next structure 24 meV/atom higher.


a) The following is a PBE with a Hubbard U calculation of a relaxed LiMnP4O12 crystal, from the Materials Project.

Unit cell a=9.378 b=9.309 c=12.906 alpha=46.47 beta=90.00 gamma=90.00
Positions (direct):
1 Li 0.009 0.742 0.752
2 Li 0.514 0.244 0.754
3 Li 0.486 0.244 0.254
4 Li 0.991 0.742 0.252
5 Mn 0.269 0.497 0.749
6 Mn 0.232 0.984 0.250
7 Mn 0.768 0.984 0.750
8 Mn 0.731 0.497 0.249
9 P 0.021 0.748 0.001
10 P 0.028 0.253 0.501
11 P 0.249 0.981 0.999
12 P 0.248 0.520 0.998
13 P 0.249 0.029 0.502
14 P 0.245 0.472 0.502
15 P 0.468 0.250 0.502
16 P 0.481 0.753 0.997
17 P 0.519 0.753 0.497
18 P 0.532 0.250 0.002
19 P 0.751 0.029 0.002
20 P 0.751 0.981 0.499
21 P 0.755 0.472 0.002
22 P 0.752 0.520 0.498
23 P 0.972 0.253 0.001
24 P 0.979 0.748 0.501
25 O 0.053 0.440 0.882
26 O 0.051 0.059 0.121
27 O 0.057 0.567 0.624
28 O 0.060 0.934 0.375
29 O 0.133 0.696 0.932
30 O 0.131 0.808 0.064
31 O 0.136 0.290 0.578
32 O 0.135 0.207 0.430
33 O 0.173 0.664 0.381
34 O 0.177 0.836 0.621
35 O 0.189 0.322 0.123
36 O 0.192 0.181 0.876
37 O 0.311 0.563 0.869
38 O 0.311 0.937 0.127
39 O 0.319 0.438 0.623
40 O 0.322 0.071 0.380
41 O 0.362 0.436 0.431
42 O 0.360 0.068 0.575
43 O 0.373 0.931 0.938
44 O 0.374 0.574 0.054
45 O 0.445 0.687 0.627
46 O 0.437 0.815 0.372
47 O 0.460 0.297 0.878
48 O 0.453 0.207 0.121
49 O 0.547 0.207 0.621
50 O 0.540 0.297 0.378
51 O 0.563 0.815 0.872
52 O 0.555 0.687 0.127
53 O 0.627 0.931 0.438
54 O 0.626 0.574 0.554
55 O 0.638 0.436 0.931
56 O 0.640 0.068 0.075
57 O 0.678 0.071 0.880
58 O 0.681 0.438 0.123
59 O 0.689 0.563 0.369
60 O 0.689 0.937 0.627
61 O 0.811 0.322 0.623
62 O 0.808 0.181 0.376
63 O 0.827 0.664 0.881
64 O 0.823 0.836 0.121
65 O 0.865 0.207 0.930
66 O 0.864 0.290 0.078
67 O 0.869 0.808 0.564
68 O 0.867 0.696 0.432
69 O 0.943 0.567 0.124
70 O 0.940 0.934 0.875
71 O 0.949 0.059 0.621
72 O 0.947 0.440 0.382


b) The following is a PBE with a Hubbard U calculation of a relaxed LiMnP4O12 crystal, from the Materials Project.

Unit cell a=13.333 b=8.349 c=9.536 alpha=90.00 beta=90.00 gamma=90.00
Positions (direct):
1 Li 0.000 0.610 0.250
2 Li 0.000 0.390 0.750
3 Li 0.500 0.110 0.250
4 Li 0.500 0.890 0.750
5 Mn 0.000 0.006 0.750
6 Mn 0.000 0.994 0.250
7 Mn 0.500 0.494 0.250
8 Mn 0.500 0.506 0.750
9 P 0.140 0.178 0.505
10 P 0.140 0.822 0.005
11 P 0.152 0.463 0.010
12 P 0.152 0.537 0.510
13 P 0.348 0.037 0.510
14 P 0.348 0.963 0.010
15 P 0.360 0.322 0.005
16 P 0.360 0.678 0.505
17 P 0.640 0.322 0.495
18 P 0.640 0.678 0.995
19 P 0.652 0.037 0.990
20 P 0.652 0.963 0.490
21 P 0.848 0.463 0.490
22 P 0.848 0.537 0.990
23 P 0.860 0.178 0.995
24 P 0.860 0.822 0.495
25 O 0.067 0.180 0.625
26 O 0.067 0.820 0.125
27 O 0.080 0.546 0.630
28 O 0.080 0.454 0.130
29 O 0.109 0.098 0.371
30 O 0.109 0.902 0.871
31 O 0.123 0.628 0.380
32 O 0.123 0.372 0.880
33 O 0.178 0.354 0.469
34 O 0.178 0.646 0.969
35 O 0.240 0.095 0.567
36 O 0.240 0.905 0.067
37 O 0.260 0.405 0.067
38 O 0.260 0.595 0.567
39 O 0.322 0.146 0.969
40 O 0.322 0.854 0.469
41 O 0.377 0.128 0.380
42 O 0.377 0.872 0.880
43 O 0.391 0.598 0.371
44 O 0.391 0.402 0.871
45 O 0.420 0.046 0.630
46 O 0.420 0.954 0.130
47 O 0.433 0.680 0.625
48 O 0.433 0.320 0.125
49 O 0.567 0.320 0.375
50 O 0.567 0.680 0.875
51 O 0.580 0.046 0.870
52 O 0.580 0.954 0.370
53 O 0.609 0.402 0.629
54 O 0.609 0.598 0.129
55 O 0.623 0.128 0.120
56 O 0.623 0.872 0.620
57 O 0.678 0.146 0.531
58 O 0.678 0.854 0.031
59 O 0.740 0.405 0.433
60 O 0.740 0.595 0.933
61 O 0.760 0.095 0.933
62 O 0.760 0.905 0.433
63 O 0.822 0.354 0.031
64 O 0.822 0.646 0.531
65 O 0.877 0.372 0.620
66 O 0.877 0.628 0.120
67 O 0.891 0.098 0.129
68 O 0.891 0.902 0.629
69 O 0.920 0.454 0.370
70 O 0.920 0.546 0.870
71 O 0.933 0.180 0.875
72 O 0.933 0.820 0.375


We find b) to be the most stable, with the next structure 18 meV/atom higher.